(1)
Density functional theory data (meta-GGA r2SCAN) for crystalline TmCo12B6 at its relaxed geometry.

The structure belongs to space group R-3m (No. 166, hexagonal axes); the cell edges are 9.3251, 9.3251 and 7.3329 Å and the angles 90.00°, 90.00° and 120.00°. Symmetry generates all atoms from Tm at (0.0000, 0.0000, 0.0000), Co at (0.0000, 0.3677, 0.5000), Co at (0.0903, 0.1806, 0.3656) and B at (0.0339, 0.5170, 0.2854).

The value obtained for the calculated total energy is -12.78 eV per atom.

=====

(2)
Density functional theory data (meta-GGA r2SCAN) for crystalline LuGePt at its relaxed geometry.

The structure belongs to space group Pnma (No. 62); the cell edges are 6.847, 4.302 and 7.505 Å and the angles 90.00°, 90.00° and 90.00°. Symmetry generates all atoms from Lu at (0.003, 0.250, 0.204), Ge at (0.191, 0.250, 0.589) and Pt at (0.207, 0.750, 0.416).

The value obtained for the calculated total energy is -35.71 eV per atom.

=====

(3)
Density functional theory data (meta-GGA r2SCAN) for crystalline LiMg2Ni at its relaxed geometry.

The structure belongs to space group Fm-3m (No. 225); the cell edges are 6.289, 6.289 and 6.289 Å and the angles 90.00°, 90.00° and 90.00°. Symmetry generates all atoms from Li at (0.000, 0.000, 0.000), Mg at (0.250, 0.250, 0.250) and Ni at (0.000, 0.000, 0.500).

The value obtained for the calculated total energy is -5.74 eV per atom.

=====

(4)
Density functional theory data (meta-GGA r2SCAN) for crystalline SmGeIr at its relaxed geometry.

The structure belongs to space group Pnma (No. 62); the cell edges are 7.067, 4.381 and 7.543 Å and the angles 90.00°, 90.00° and 90.00°. Symmetry generates all atoms from Sm at (0.005, 0.250, 0.190), Ge at (0.200, 0.250, 0.606) and Ir at (0.158, 0.750, 0.430).

The value obtained for the calculated total energy is -32.96 eV per atom.

=====

(5)
Density functional theory data (meta-GGA r2SCAN) for crystalline LiBIr at its relaxed geometry.

The structure belongs to space group Fddd (No. 70, origin choice 2); the cell edges are 6.142, 9.189 and 10.464 Å and the angles 90.00°, 90.00° and 90.00°. Symmetry generates all atoms from Li at (0.000, 0.000, 0.000), B at (0.125, 0.302, 0.625) and Ir at (0.125, 0.125, 0.492).

The value obtained for the calculated total energy is -21.29 eV per atom.

=====

(6)
Density functional theory data (meta-GGA r2SCAN) for crystalline MgH2 at its relaxed geometry.

The structure belongs to space group Pa-3 (No. 205); the cell edges are 4.789, 4.789 and 4.789 Å and the angles 90.00°, 90.00° and 90.00°. Symmetry generates all atoms from Mg at (0.000, 0.000, 0.000) and H at (0.156, 0.656, 0.844).

The value obtained for the calculated total energy is -3.92 eV per atom.

=====

(7)
Density functional theory data (meta-GGA r2SCAN) for crystalline PrSnAu2 at its relaxed geometry.

The structure belongs to space group Fm-3m (No. 225); the cell edges are 7.163, 7.163 and 7.163 Å and the angles 90.00°, 90.00° and 90.00°. Symmetry generates all atoms from Pr at (0.000, 0.000, 0.000), Sn at (0.000, 0.000, 0.500) and Au at (0.250, 0.250, 0.250).

The value obtained for the calculated total energy is -39.54 eV per atom.

=====

(8)
Density functional theory data (meta-GGA r2SCAN) for crystalline Sn4BRh6 at its relaxed geometry.

The structure belongs to space group P6_3/mmc (No. 194); the cell edges are 5.6195, 5.6195 and 13.7648 Å and the angles 90.00°, 90.00° and 120.00°. Symmetry generates all atoms from Sn at (0.0000, 0.0000, 0.2500), Sn at (0.3333, 0.6667, 0.0762), Sn at (0.3333, 0.6667, 0.7500), B at (0.0000, 0.0000, 0.0000) and Rh at (0.1679, 0.3359, 0.5936).

The value obtained for the calculated total energy is -23.33 eV per atom.

=====

| no. | total magnetization (μB per cell) | DFT formation energy (kJ/mol of formula units) |
| --- | --- | --- |
| 1 | 27.72 | -460.4 |
| 2 | 0.00 | -356.2 |
| 3 | 0.00 | -23.1 |
| 4 | 0.00 | -281.8 |
| 5 | 0.00 | -170.3 |
| 6 | 0.00 | -65.9 |
| 7 | 0.00 | -275.1 |
| 8 | 0.00 | -533.3 |